Entry 1:
# GGA+U Mo3P5Pb3O23, optimized geometry
data_Mo3P5Pb3O23
_space_group_name_H-M_alt 'P n m a'
_space_group_IT_number 62
_space_group_name_Hall '-P 2ac 2n'
_cell_length_a 14.578
_cell_length_b 15.931
_cell_length_c 8.281
_cell_angle_alpha 90.00
_cell_angle_beta 90.00
_cell_angle_gamma 90.00
loop_
_atom_site_label
_atom_site_fract_x
_atom_site_fract_y
_atom_site_fract_z
Mo1 0.152 0.083 0.005
Mo2 0.153 0.750 0.056
P1 0.062 0.595 0.820
P2 0.067 0.250 0.799
P3 0.145 0.572 0.286
Pb1 0.097 0.085 0.543
Pb2 0.110 0.750 0.545
O1 0.008 0.750 0.073
O2 0.017 0.084 0.057
O3 0.027 0.631 0.658
O4 0.033 0.250 0.621
O5 0.054 0.541 0.357
O6 0.112 0.509 0.800
O7 0.129 0.170 0.819
O8 0.133 0.660 0.885
O9 0.143 0.667 0.250
O10 0.173 0.525 0.130
O11 0.189 0.153 0.148
O12 0.219 0.556 0.418
O13 0.229 0.250 0.535
# Size of the total moment, μB per formula unit: 3.1
# Corrected total energy (MP2020 scheme), eV/atom: -7.784
# Energy of formation from the pure elements, eV per atom: -2.3558

---

Entry 2:
# GGA+U MgCr3S6O24, optimized geometry
data_MgCr3S6O24
_space_group_name_H-M_alt 'R 3'
_space_group_IT_number 146
_space_group_name_Hall 'R 3'
_cell_length_a 8.3041
_cell_length_b 8.3041
_cell_length_c 22.3419
_cell_angle_alpha 90.00
_cell_angle_beta 90.00
_cell_angle_gamma 120.00
loop_
_atom_site_label
_atom_site_fract_x
_atom_site_fract_y
_atom_site_fract_z
Mg1 0.0000 0.0000 0.0000
Cr1 0.0000 0.0000 0.2860
Cr2 0.0000 0.0000 0.4914
Cr3 0.0000 0.0000 0.7926
S1 0.0028 0.2910 0.3931
S2 0.0041 0.7105 0.8910
O1 0.0108 0.2048 0.3359
O2 0.0341 0.8304 0.2292
O3 0.0777 0.8541 0.5412
O4 0.0798 0.8512 0.8419
O5 0.1351 0.6783 0.6137
O6 0.1541 0.4546 0.7219
O7 0.1913 0.4477 0.1076
O8 0.1957 0.4364 0.4077
# Size of the total moment, μB per formula unit: 8.0
# Corrected total energy (MP2020 scheme), eV/atom: -7.151
# Energy of formation from the pure elements, eV per atom: -2.0295

---

Entry 3:
# GGA+U MnO2, optimized geometry
data_MnO2
_space_group_name_H-M_alt 'P 42/m'
_space_group_IT_number 84
_space_group_name_Hall '-P 4c'
_cell_length_a 9.577
_cell_length_b 9.577
_cell_length_c 2.933
_cell_angle_alpha 90.00
_cell_angle_beta 90.00
_cell_angle_gamma 90.00
loop_
_atom_site_label
_atom_site_fract_x
_atom_site_fract_y
_atom_site_fract_z
Mn1 0.000 0.500 0.000
Mn2 0.011 0.767 0.500
O1 0.090 0.153 0.000
O2 0.097 0.407 0.500
O3 0.106 0.672 0.000
# Corrected total energy (MP2020 scheme), eV/atom: -8.151
# Energy of formation from the pure elements, eV per atom: -1.7987

---

Entry 4:
# GGA+U BaYMgCoCuO5, optimized geometry
data_BaYMgCoCuO5
_space_group_name_H-M_alt 'P m m 2'
_space_group_IT_number 25
_space_group_name_Hall 'P 2 -2'
_cell_length_a 3.821
_cell_length_b 4.045
_cell_length_c 9.633
_cell_angle_alpha 90.00
_cell_angle_beta 90.00
_cell_angle_gamma 90.00
loop_
_atom_site_label
_atom_site_fract_x
_atom_site_fract_y
_atom_site_fract_z
Ba1 0.000 0.000 0.000
Y1 0.000 0.000 0.359
Mg1 0.000 0.500 0.714
Co1 0.500 0.500 0.498
Cu1 0.500 0.500 0.204
O1 0.000 0.500 0.197
O2 0.000 0.500 0.511
O3 0.500 0.000 0.187
O4 0.500 0.000 0.488
O5 0.500 0.500 0.813
# Size of the total moment, μB per formula unit: 2.6
# Corrected total energy (MP2020 scheme), eV/atom: -6.690
# Energy of formation from the pure elements, eV per atom: -2.0966

---

Entry 5:
# GGA+U Mn4P7O24, optimized geometry
data_Mn4P7O24
_space_group_name_H-M_alt 'P -1'
_space_group_IT_number 2
_space_group_name_Hall '-P 1'
_cell_length_a 10.265
_cell_length_b 10.498
_cell_length_c 10.723
_cell_angle_alpha 109.76
_cell_angle_beta 111.11
_cell_angle_gamma 105.99
loop_
_atom_site_label
_atom_site_fract_x
_atom_site_fract_y
_atom_site_fract_z
Mn1 0.004 0.398 0.240
Mn2 0.010 0.163 0.392
Mn3 0.488 0.117 0.424
Mn4 0.489 0.323 0.915
P1 0.232 0.685 0.612
P2 0.236 0.478 0.743
P3 0.248 0.047 0.547
P4 0.248 0.109 0.974
P5 0.272 0.292 0.271
P6 0.305 0.881 0.065
P7 0.306 0.564 0.238
O1 0.104 0.002 0.821
O2 0.120 0.726 0.671
O3 0.123 0.505 0.800
O4 0.126 0.478 0.153
O5 0.127 0.777 0.959
O6 0.134 0.295 0.297
O7 0.137 0.908 0.535
O8 0.140 0.564 0.446
O9 0.152 0.079 0.422
O10 0.162 0.333 0.595
O11 0.189 0.168 0.093
O12 0.308 0.615 0.715
O13 0.332 0.186 0.706
O14 0.333 0.945 0.228
O15 0.343 0.025 0.031
O16 0.357 0.251 0.992
O17 0.358 0.572 0.125
O18 0.368 0.454 0.294
O19 0.371 0.015 0.505
O20 0.371 0.715 0.375
O21 0.371 0.822 0.655
O22 0.378 0.493 0.873
O23 0.382 0.258 0.374
O24 0.410 0.814 0.038
# Size of the total moment, μB per formula unit: 15.0
# Corrected total energy (MP2020 scheme), eV/atom: -7.959
# Energy of formation from the pure elements, eV per atom: -2.4361

---

Entry 6:
# GGA+U Fe3C9S2O10, optimized geometry
data_Fe3C9S2O10
_space_group_name_H-M_alt 'P -1'
_space_group_IT_number 2
_space_group_name_Hall '-P 1'
_cell_length_a 9.109
_cell_length_b 9.590
_cell_length_c 10.417
_cell_angle_alpha 97.09
_cell_angle_beta 91.28
_cell_angle_gamma 116.95
loop_
_atom_site_label
_atom_site_fract_x
_atom_site_fract_y
_atom_site_fract_z
Fe1 0.084 0.353 0.218
Fe2 0.186 0.749 0.302
Fe3 0.379 0.611 0.258
C1 0.021 0.278 0.701
C2 0.076 0.203 0.312
C3 0.092 0.240 0.065
C4 0.134 0.707 0.796
C5 0.264 0.874 0.458
C6 0.273 0.916 0.212
C7 0.440 0.471 0.178
C8 0.478 0.220 0.809
C9 0.495 0.344 0.591
S1 0.163 0.542 0.380
S2 0.164 0.576 0.121
O1 0.067 0.107 0.373
O2 0.093 0.170 0.968
O3 0.155 0.295 0.706
O4 0.174 0.526 0.521
O5 0.273 0.743 0.807
O6 0.313 0.950 0.559
O7 0.322 0.020 0.153
O8 0.384 0.113 0.853
O9 0.420 0.312 0.492
O10 0.490 0.391 0.125
# Size of the total moment, μB per formula unit: 0.0
# Corrected total energy (MP2020 scheme), eV/atom: -7.507
# Energy of formation from the pure elements, eV per atom: -0.5810